No. 1
Compound: Ca4MgB4C2O18
Source: the Materials Project database
Functional: PBE
Structure: optimized geometry

ΔE_f: -2.469 eV/atom
density: 2.7 g/cm³

a b c (Å): 18.516 7.980 4.571
angles (deg): 90.00 104.13 90.00
Space group C2/m (No. 12)
Symmetry-distinct sites (fractional):
Ca 0.158 0.234 0.146 (multiplicity 8)
Mg 0.000 0.000 0.000 (multiplicity 2)
B 0.000 0.258 0.500 (multiplicity 4)
B 0.097 0.000 0.557 (multiplicity 4)
C 0.194 0.500 0.631 (multiplicity 4)
O 0.046 0.352 0.752 (multiplicity 8)
O 0.052 0.152 0.376 (multiplicity 8)
O 0.097 0.000 0.868 (multiplicity 4)
O 0.157 0.500 0.355 (multiplicity 4)
O 0.167 0.000 0.489 (multiplicity 4)
O 0.213 0.359 0.770 (multiplicity 8)

No. 2
Compound: Ca24Mg8B16C8O73
Source: the Materials Project database
Functional: PBE
Structure: optimized geometry

ΔE_f: -3.005 eV/atom
density: 2.6 g/cm³

a b c (Å): 14.875 14.881 14.874
angles (deg): 90.00 90.00 90.00
Space group C222 (No. 21)
Symmetry-distinct sites (fractional):
Ca 0.000 0.000 0.238 (multiplicity 4)
Ca 0.000 0.238 0.000 (multiplicity 4)
Ca 0.000 0.262 0.500 (multiplicity 4)
Ca 0.000 0.500 0.262 (multiplicity 4)
Ca 0.012 0.250 0.250 (multiplicity 8)
Ca 0.238 0.000 0.000 (multiplicity 4)
Ca 0.238 0.500 0.500 (multiplicity 4)
Ca 0.250 0.012 0.250 (multiplicity 8)
Ca 0.250 0.250 0.012 (multiplicity 4)
Ca 0.250 0.250 0.488 (multiplicity 4)
Mg 0.125 0.125 0.125 (multiplicity 8)
Mg 0.125 0.375 0.375 (multiplicity 8)
B 0.091 0.091 0.909 (multiplicity 8)
B 0.092 0.408 0.592 (multiplicity 8)
B 0.158 0.158 0.342 (multiplicity 8)
B 0.158 0.342 0.158 (multiplicity 8)
C 0.125 0.125 0.625 (multiplicity 8)
C 0.125 0.375 0.875 (multiplicity 8)
O 0.000 0.000 0.000 (multiplicity 2)
O 0.015 0.134 0.874 (multiplicity 8)
O 0.015 0.367 0.625 (multiplicity 8)
O 0.064 0.125 0.686 (multiplicity 8)
O 0.064 0.375 0.813 (multiplicity 8)
O 0.117 0.235 0.375 (multiplicity 8)
O 0.117 0.265 0.125 (multiplicity 8)
O 0.125 0.117 0.265 (multiplicity 8)
O 0.125 0.186 0.564 (multiplicity 8)
O 0.125 0.314 0.936 (multiplicity 8)
O 0.125 0.383 0.235 (multiplicity 8)
O 0.125 0.485 0.633 (multiplicity 8)
O 0.126 0.015 0.866 (multiplicity 8)
O 0.133 0.375 0.515 (multiplicity 8)
O 0.135 0.126 0.984 (multiplicity 8)
O 0.186 0.064 0.625 (multiplicity 8)
O 0.186 0.437 0.875 (multiplicity 8)
O 0.235 0.125 0.383 (multiplicity 8)
O 0.235 0.375 0.117 (multiplicity 8)

No. 3
Compound: CaB3C6O6
Source: the Materials Project database
Functional: PBE
Structure: optimized geometry

ΔE_f: -0.372 eV/atom
density: 0.4 g/cm³

a b c (Å): 6.047 6.883 24.825
angles (deg): 87.37 84.06 76.04
Space group P-1 (No. 2)
Symmetry-distinct sites (fractional):
Ca 0.000 0.000 0.000 (multiplicity 1)
B 0.000 0.000 0.500 (multiplicity 1)
B 0.000 0.500 0.000 (multiplicity 1)
B 0.500 0.500 0.000 (multiplicity 1)
C 0.092 0.015 0.743 (multiplicity 2)
C 0.169 0.611 0.996 (multiplicity 2)
C 0.355 0.697 0.984 (multiplicity 2)
O 0.019 0.181 0.757 (multiplicity 2)
O 0.165 0.849 0.729 (multiplicity 2)
O 0.365 0.877 0.969 (multiplicity 2)

No. 4
Compound: CeB2C2
Source: the Materials Project database
Functional: PBE
Structure: optimized geometry

ΔE_f: -0.433 eV/atom
density: 5.7 g/cm³

a b c (Å): 5.374 5.374 3.761
angles (deg): 90.00 90.00 90.00
Space group P4/mbm (No. 127)
Symmetry-distinct sites (fractional):
Ce 0.000 0.000 0.000 (multiplicity 2)
B 0.137 0.363 0.500 (multiplicity 4)
C 0.162 0.662 0.500 (multiplicity 4)

No. 5
Compound: CeB2C2
Source: the Materials Project database
Functional: PBE
Structure: optimized geometry

ΔE_f: -0.315 eV/atom
density: 5.6 g/cm³

a b c (Å): 3.818 3.818 7.501
angles (deg): 90.00 90.00 90.00
Space group P4_2/mmc (No. 131)
Symmetry-distinct sites (fractional):
Ce 0.000 0.000 0.250 (multiplicity 2)
B 0.218 0.500 0.000 (multiplicity 4)
C 0.186 0.500 0.500 (multiplicity 4)

No. 6
Compound: Ce33Fe13B18C34
Source: the Materials Project database
Functional: PBE
Structure: optimized geometry

ΔE_f: -0.308 eV/atom
density: 7.0 g/cm³

a b c (Å): 14.168 14.168 14.168
angles (deg): 90.00 90.00 90.00
Space group Im-3m (No. 229)
Symmetry-distinct sites (fractional):
Ce 0.000 0.000 0.500 (multiplicity 6)
Ce 0.000 0.250 0.500 (multiplicity 12)
Ce 0.128 0.128 0.306 (multiplicity 48)
Fe 0.000 0.000 0.000 (multiplicity 2)
Fe 0.000 0.127 0.127 (multiplicity 24)
B 0.000 0.000 0.217 (multiplicity 12)
B 0.000 0.297 0.297 (multiplicity 24)
C 0.000 0.000 0.326 (multiplicity 12)
C 0.000 0.224 0.224 (multiplicity 24)
C 0.000 0.372 0.372 (multiplicity 24)
C 0.250 0.250 0.250 (multiplicity 8)

No. 7
Compound: CeNi2B2C
Source: the Materials Project database
Functional: PBE
Structure: optimized geometry

ΔE_f: -0.482 eV/atom
density: 7.2 g/cm³

a b c (Å): 3.631 3.631 10.186
angles (deg): 90.00 90.00 90.00
Space group I4/mmm (No. 139)
Symmetry-distinct sites (fractional):
Ce 0.000 0.000 0.000 (multiplicity 2)
Ni 0.000 0.500 0.250 (multiplicity 4)
B 0.000 0.000 0.353 (multiplicity 4)
C 0.000 0.000 0.500 (multiplicity 2)

No. 8
Compound: CeB2Pd2C
Source: the Materials Project database
Functional: PBE
Structure: optimized geometry

ΔE_f: -0.493 eV/atom
density: 8.2 g/cm³

a b c (Å): 3.839 3.839 10.677
angles (deg): 90.00 90.00 90.00
Space group I4/mmm (No. 139)
Symmetry-distinct sites (fractional):
Ce 0.000 0.000 0.000 (multiplicity 2)
B 0.000 0.000 0.362 (multiplicity 4)
Pd 0.000 0.500 0.250 (multiplicity 4)
C 0.000 0.000 0.500 (multiplicity 2)

Question: Which formula does entry 4 have?
Answer: CeB2C2

Question: What is the ΔE_f in the fifth record?
Answer: -0.315 eV/atom

Question: Which value of ΔE_f does entry 1 give?
Answer: -2.469 eV/atom

Question: Which value of density does entry 2 give?
Answer: 2.6 g/cm³